# 1
Rb2WSe4: optimized geometry, PBE.

```
Rb2WSe4
1.0
-5.798 4.662 0.597
-5.605 -7.516 4.267
4.179 3.667 11.949
Se Rb W
16 8 4
Cartesian
-5.140 2.229 2.652 Se
-3.932 -2.382 3.746 Se
-0.127 4.345 11.241 Se
-3.292 3.195 13.066 Se
-3.865 -0.235 10.698 Se
-2.084 -1.416 14.160 Se
-7.097 -3.532 5.572 Se
-0.998 -2.540 10.403 Se
-3.358 1.048 6.115 Se
-9.964 -1.226 5.867 Se
-6.226 3.353 6.410 Se
0.017 2.382 4.891 Se
-6.738 -0.472 8.230 Se
-0.486 1.285 8.582 Se
2.740 2.039 10.945 Se
-7.241 -1.569 11.922 Se
-1.850 0.406 2.193 Rb
-3.701 3.174 9.258 Rb
-3.182 4.399 4.735 Rb
-5.374 0.407 14.620 Rb
-6.753 -0.035 4.668 Rb
-4.042 -3.586 12.078 Rb
-0.470 0.848 12.144 Rb
-3.523 -2.361 7.554 Rb
-1.867 5.022 12.633 W
-1.048 0.871 6.353 W
-6.176 -0.058 10.460 W
-5.357 -4.209 4.179 W
```

Calculated values
V: 253 Å³/f.u.
ΔH_f (0 K): -1.1084 eV per atom



# 2
AlHO2: optimized geometry, PBE.

```
AlHO2
1.0
-2.963 0.000 0.000
-0.024 -3.738 0.000
1.373 1.143 6.565
Al O H
2 4 2
Cartesian
-1.422 -0.391 2.144 Al
-0.034 -2.246 4.182 Al
0.053 -0.371 1.247 O
-1.553 -2.271 5.370 O
-0.286 -0.384 4.084 O
-1.567 -2.243 2.888 O
-1.562 -2.494 6.382 H
-0.961 -0.324 4.815 H
```

Calculated values
Largest piezoelectric modulus: 2.2 C/m2
V: 36 Å³/f.u.
ΔH_f (0 K): -2.4785 eV per atom
Magnetic moment: 0.00 μB/f.u.